No. 1
Compound: Rb2NiF6
Source: Materials Project
Functional: meta-GGA r2SCAN
Structure: relaxed

Calculated values
Energy of formation, kJ/mol of atoms: -237.4
Magnetic moment, μB per cell: 0.0

a b c (Å): 5.911 5.911 5.911
angles (deg): 60.00 60.00 60.00
Fractional coordinates of all 9 atoms:
Rb 0.250 0.250 0.250
Rb 0.750 0.750 0.750
Ni 0.000 0.000 0.000
F 0.214 0.214 0.786
F 0.214 0.786 0.214
F 0.214 0.786 0.786
F 0.786 0.214 0.214
F 0.786 0.214 0.786
F 0.786 0.786 0.214


No. 2
Compound: Hf5Si3
Source: Materials Project
Functional: meta-GGA r2SCAN
Structure: relaxed

Calculated values
Energy of formation, kJ/mol of atoms: -75.9
Magnetic moment, μB per cell: 0.0

a b c (Å): 7.850 7.850 5.476
angles (deg): 90.00 90.00 120.00
Fractional coordinates of all 16 atoms:
Hf 0.000 0.253 0.250
Hf 0.000 0.747 0.750
Hf 0.253 0.000 0.250
Hf 0.253 0.253 0.750
Hf 0.333 0.667 0.000
Hf 0.333 0.667 0.500
Hf 0.667 0.333 0.000
Hf 0.667 0.333 0.500
Hf 0.747 0.000 0.750
Hf 0.747 0.747 0.250
Si 0.000 0.391 0.750
Si 0.000 0.609 0.250
Si 0.391 0.000 0.750
Si 0.391 0.391 0.250
Si 0.609 0.000 0.250
Si 0.609 0.609 0.750


No. 3
Compound: SmPO4
Source: Materials Project
Functional: meta-GGA r2SCAN
Structure: relaxed

Calculated values
Energy of formation, kJ/mol of atoms: -318.4
Magnetic moment, μB per cell: 0.0

a b c (Å): 5.837 5.837 5.837
angles (deg): 106.07 106.07 116.52
Fractional coordinates of all 12 atoms:
Sm 0.375 0.625 0.750
Sm 0.625 0.375 0.250
P 0.125 0.875 0.250
P 0.875 0.125 0.750
O 0.142 0.720 0.422
O 0.202 0.280 0.922
O 0.280 0.202 0.422
O 0.280 0.858 0.078
O 0.720 0.142 0.922
O 0.720 0.798 0.578
O 0.798 0.720 0.078
O 0.858 0.280 0.578


No. 4
Compound: V2P
Source: Materials Project
Functional: meta-GGA r2SCAN
Structure: relaxed

Calculated values
Energy of formation, kJ/mol of atoms: -81.7
Magnetic moment, μB per cell: 0.0

a b c (Å): 6.143 3.262 7.530
angles (deg): 90.00 90.00 90.00
Fractional coordinates of all 12 atoms:
V 0.041 0.250 0.167
V 0.139 0.250 0.558
V 0.361 0.750 0.058
V 0.459 0.750 0.667
V 0.541 0.250 0.333
V 0.639 0.250 0.942
V 0.861 0.750 0.442
V 0.959 0.750 0.833
P 0.248 0.750 0.357
P 0.252 0.250 0.857
P 0.748 0.750 0.143
P 0.752 0.250 0.643


Electronic total energy values (in Ry/atom) by entry order: -0.65940, -2.37371, -1.00970, -0.97316.